No. 1
16
Lattice="-6.220 0.326 0.112 2.905 -2.395 -4.963 -0.382 -8.658 3.955" Properties=species:S:1:pos:R:3 comment="PBE Mg14WC, optimized geometry" de_polymorph_ev_per_fu=3.18 volume_a3_per_atom=20.010 sg="No. 187" dft_energy_ev_per_atom=-2.3936 formation_energy_kj_per_mol_atoms=37.9 pbc="T T T"
Mg -1.746 -2.870 -3.583
Mg -0.278 -4.756 -1.623
Mg -3.225 -1.650 -1.056
Mg 1.163 -7.350 -1.637
Mg -3.418 -6.001 0.874
Mg -5.156 -7.646 2.627
Mg -3.388 -4.530 -1.752
Mg -1.982 -7.185 -1.580
Mg 1.307 -3.029 -3.637
Mg -1.800 -7.822 2.567
Mg -4.971 -3.477 0.723
Mg -3.583 -8.944 0.264
Mg -0.462 -8.925 0.281
Mg -1.616 -3.653 0.663
C -0.307 -6.155 0.836
W -0.116 -1.826 -1.141

No. 2
16
Lattice="-3.116 0.019 5.405 7.379 -2.157 -1.383 2.799 8.558 1.584" Properties=species:S:1:pos:R:3 comment="PBE Mg14WC, optimized geometry" de_polymorph_ev_per_fu=0.00 volume_a3_per_atom=21.713 sg="No. 38" dft_energy_ev_per_atom=-2.5922 formation_energy_kj_per_mol_atoms=18.8 pbc="T T T"
Mg 6.722 6.314 2.098
Mg 3.760 4.502 2.008
Mg -0.296 2.790 5.100
Mg 4.648 -0.910 3.299
Mg 1.976 4.629 4.477
Mg 7.396 3.522 0.880
Mg 1.118 7.113 5.900
Mg 2.411 7.574 2.906
Mg 5.119 1.412 1.191
Mg 3.310 1.884 3.693
Mg 6.052 3.437 3.713
Mg 4.716 6.184 4.489
Mg 0.808 2.673 1.999
Mg 0.671 0.253 4.044
W 2.372 0.202 1.311
C 2.595 -0.210 3.144

No. 3
8
Lattice="3.110 -6.582 0.000 3.110 6.582 0.000 0.000 0.000 4.743" Properties=species:S:1:pos:R:3 comment="PBE YMg6C, optimized geometry" de_polymorph_ev_per_fu=0.00 volume_a3_per_atom=24.273 sg="No. 38" dft_energy_ev_per_atom=-2.8114 formation_energy_kj_per_mol_atoms=33.8 pbc="T T T"
Mg 3.110 2.337 0.000
Mg 4.649 0.657 2.372
Mg 1.609 -1.185 0.000
Mg 3.110 4.471 2.372
Mg 4.612 -1.185 0.000
Mg 1.571 0.657 2.372
C 3.110 -2.715 0.000
Y 3.110 -3.037 2.372

No. 4
8
Lattice="-6.562 2.905 -0.869 2.659 -5.350 4.069 0.877 2.985 3.351" Properties=species:S:1:pos:R:3 comment="PBE YMg6C, optimized geometry" de_polymorph_ev_per_fu=0.31 volume_a3_per_atom=21.358 sg="No. 38" dft_energy_ev_per_atom=-2.7727 formation_energy_kj_per_mol_atoms=37.6 pbc="T T T"
Mg -2.938 0.068 3.827
Mg -0.997 1.284 2.237
Mg -2.118 -2.482 2.765
Mg -0.267 -1.323 1.248
Mg -3.306 -0.011 0.875
Mg 0.755 -3.646 3.050
C -0.656 -0.498 3.735
Y -4.333 2.794 1.765

No. 5
16
Lattice="6.410 0.000 0.000 -3.205 5.551 0.000 0.000 0.000 9.992" Properties=species:S:1:pos:R:3 comment="PBE YMg14C, optimized geometry" de_polymorph_ev_per_fu=1.47 volume_a3_per_atom=22.220 sg="No. 187" dft_energy_ev_per_atom=-2.1049 formation_energy_kj_per_mol_atoms=26.7 pbc="T T T"
Mg 1.657 4.594 6.245
Mg 3.205 3.701 3.640
Mg 0.000 3.598 8.518
Mg 4.896 0.976 3.972
Mg 0.000 3.598 3.972
Mg 3.205 1.763 1.249
Mg -1.657 4.594 6.245
Mg 4.896 0.976 8.518
Mg 3.205 1.913 6.245
Mg 1.514 0.976 3.972
Mg 1.527 4.669 1.249
Mg 1.514 0.976 8.518
Mg -1.527 4.669 1.249
Mg 3.205 3.701 8.850
C 0.000 1.850 6.245
Y 0.000 1.850 1.249

No. 6
16
Lattice="6.568 0.357 0.000 -2.975 5.152 0.000 0.000 0.000 10.358" Properties=species:S:1:pos:R:3 comment="PBE YMg14C, optimized geometry" de_polymorph_ev_per_fu=0.00 volume_a3_per_atom=22.594 sg="No. 38" dft_energy_ev_per_atom=-2.1970 formation_energy_kj_per_mol_atoms=17.8 pbc="T T T"
Mg 4.942 1.136 9.003
Mg -1.555 4.255 6.474
Mg 0.259 3.560 8.988
Mg 4.942 1.136 3.945
Mg 1.725 1.021 8.988
Mg 3.319 1.936 6.474
Mg 4.047 4.054 2.818
Mg 1.849 4.482 6.474
Mg 1.725 1.021 3.959
Mg 0.025 1.732 6.474
Mg 4.047 4.054 10.129
Mg 1.369 4.340 1.295
Mg 2.956 1.591 1.295
Mg 0.259 3.560 3.959
C -0.943 4.608 1.295
Y -0.221 1.590 1.295

No. 7
16
Lattice="-1.627 -3.067 0.863 2.214 -3.310 -7.591 8.371 -3.345 3.899" Properties=species:S:1:pos:R:3 comment="PBE Mg6ZnC, optimized geometry" de_polymorph_ev_per_fu=0.42 volume_a3_per_atom=18.826 dft_energy_ev_per_atom=-2.2135 formation_energy_kj_per_mol_atoms=28.7 pbc="T T T"
Mg 7.431 -2.969 3.461
Mg 5.539 -2.624 1.120
Mg 6.881 -5.197 1.923
Mg 7.003 -4.813 -3.900
Mg 2.690 -1.075 1.253
Mg 2.728 -3.573 -0.137
Mg 2.460 -2.607 -4.625
Mg 7.982 -4.402 -0.593
Mg 8.020 -6.900 -1.983
Mg 1.711 -1.485 -2.054
Mg 4.352 -2.952 -2.284
Mg 3.803 -5.180 -3.823
C 5.354 -3.998 3.305
C 2.276 -3.981 -2.441
Zn 0.106 -1.901 0.860
Zn 5.398 -5.228 -0.986

No. 8
16
Lattice="-2.276 -0.393 2.552 1.396 -8.439 -0.055 7.462 1.190 6.840" Properties=species:S:1:pos:R:3 comment="PBE Mg6ZnC, optimized geometry" de_polymorph_ev_per_fu=0.00 volume_a3_per_atom=18.756 dft_energy_ev_per_atom=-2.2665 formation_energy_kj_per_mol_atoms=23.6 pbc="T T T"
Mg 5.848 -1.142 7.362
Mg 4.269 -3.665 5.565
Mg 2.815 -5.957 3.914
Mg 4.956 -0.609 4.327
Mg 1.471 -2.697 0.897
Mg 2.846 0.454 2.609
Mg 7.276 -3.171 6.001
Mg 1.922 -5.424 0.879
Mg 5.901 -6.321 4.289
Mg -0.160 -0.041 2.172
Mg 2.151 -1.944 3.941
Mg 6.581 -5.568 7.333
Zn 6.807 1.085 6.239
Zn 3.774 -3.729 2.791
C 2.774 0.427 4.862
C -0.259 -4.387 1.414

No. 9
16
Lattice="-1.326 2.373 5.667 -4.258 -3.506 -3.014 3.677 -8.134 4.266" Properties=species:S:1:pos:R:3 comment="PBE Mg14ZrC, optimized geometry" de_polymorph_ev_per_fu=1.06 volume_a3_per_atom=21.153 sg="No. 187" dft_energy_ev_per_atom=-2.2267 formation_energy_kj_per_mol_atoms=27.5 pbc="T T T"
Mg -3.991 -2.393 1.746
Mg -1.782 -0.574 3.309
Mg -0.039 -4.686 5.438
Mg 1.976 -6.852 4.954
Mg -3.353 -3.535 -0.982
Mg 1.267 -5.584 7.983
Mg -1.447 -7.614 1.070
Mg -0.686 -7.566 6.493
Mg -2.124 -6.402 3.963
Mg 0.250 -3.037 2.953
Mg -0.007 -8.484 3.551
Mg -2.605 -3.321 4.266
Mg -0.458 -1.768 5.981
Mg -1.732 -4.669 1.550
Zr -1.181 -1.790 0.473
C 0.658 -5.857 2.606

No. 10
16
Lattice="-1.986 0.113 6.194 0.679 -5.249 -2.421 9.692 -0.181 3.110" Properties=species:S:1:pos:R:3 comment="PBE Mg14ZrC, optimized geometry" de_polymorph_ev_per_fu=0.00 volume_a3_per_atom=21.549 sg="No. 38" dft_energy_ev_per_atom=-2.2928 formation_energy_kj_per_mol_atoms=21.1 pbc="T T T"
Mg 5.326 -4.353 3.976
Mg 0.251 -1.391 3.302
Mg 5.973 -1.813 2.108
Mg 6.917 -0.943 7.483
Mg 6.347 -4.385 0.792
Mg 7.935 -1.031 4.396
Mg 0.612 -4.177 2.017
Mg 3.074 -0.940 2.836
Mg 8.268 -3.606 3.208
Mg 8.112 -3.852 7.129
Mg 4.990 -1.759 5.173
Mg 1.245 -3.724 4.925
Mg 3.408 -3.516 1.648
Mg 2.108 -0.853 5.940
Zr 1.218 -1.583 0.276
C 1.296 -4.608 -0.140

No. 11
40
Lattice="-3.572 -2.665 -0.171 2.154 -3.246 5.587 -5.949 7.546 6.677" Properties=species:S:1:pos:R:3 comment="PBE Mn7C3, optimized geometry" volume_a3_per_atom=8.887 sg="No. 62" dft_energy_ev_per_atom=-9.2500 formation_energy_kj_per_mol_atoms=-6.6 pbc="T T T"
C -5.160 -0.823 9.584
C 1.121 -2.053 4.603
C -4.608 2.075 11.055
C -8.488 3.687 7.491
C -5.566 3.518 8.572
C -1.250 1.015 4.993
C -2.894 -0.558 7.019
C -6.117 0.619 7.101
C -1.801 -1.883 3.522
C -4.473 2.193 5.074
C -2.207 2.458 2.510
C -2.759 -0.441 1.039
Mn -4.563 3.849 10.223
Mn -6.690 4.257 7.129
Mn -4.841 5.751 5.738
Mn -0.047 -1.946 2.484
Mn -5.947 3.556 4.890
Mn -7.321 3.581 9.610
Mn -2.910 1.518 4.079
Mn -4.618 0.254 5.525
Mn -5.146 2.348 6.969
Mn -4.039 4.543 7.817
Mn -1.654 -0.074 2.671
Mn -4.457 0.117 8.014
Mn -3.309 2.257 8.815
Mn -0.677 -2.623 4.965
Mn -2.749 1.381 6.569
Mn -5.713 1.708 9.423
Mn -3.441 3.734 5.572
Mn -3.328 -2.909 4.277
Mn -2.221 -0.714 5.125
Mn -5.407 1.443 3.478
Mn -6.532 2.392 11.656
Mn -2.804 -2.215 1.870
Mn -1.420 -1.922 7.204
Mn -4.058 -0.623 3.279
Mn -3.926 -2.099 6.522
Mn -1.960 0.192 8.615
Mn -0.836 -0.757 0.438
Mn -2.527 -4.116 6.355

No. 12
28
Lattice="0.000 5.246 5.246 5.246 0.000 5.246 5.246 5.246 0.000" Properties=species:S:1:pos:R:3 comment="PBE Mn6C, optimized geometry" volume_a3_per_atom=10.312 sg="No. 227" dft_energy_ev_per_atom=-9.0930 formation_energy_kj_per_mol_atoms=7.6 pbc="T T T"
Mn 8.772 6.966 6.966
Mn 4.343 4.343 4.343
Mn 4.665 2.623 2.623
Mn 2.623 2.623 4.665
Mn 2.623 2.623 0.581
Mn 5.246 5.246 2.042
Mn 8.450 5.246 5.246
Mn 4.343 6.149 6.149
Mn 6.966 8.772 6.966
Mn 6.557 3.934 3.934
Mn 5.246 5.246 8.450
Mn 3.934 6.557 3.934
Mn 6.149 4.343 6.149
Mn 8.772 8.772 8.772
Mn 2.042 5.246 5.246
Mn 5.246 2.042 5.246
Mn 2.623 0.581 2.623
Mn 2.623 4.665 2.623
Mn 0.581 2.623 2.623
Mn 6.557 6.557 6.557
Mn 5.246 8.450 5.246
Mn 3.934 3.934 6.557
Mn 6.149 6.149 4.343
Mn 6.966 6.966 8.772
C 1.311 3.934 3.934
C 3.934 3.934 1.311
C 1.311 1.311 1.311
C 3.934 1.311 3.934

No. 13
29
Lattice="0.000 5.210 5.210 5.210 0.000 5.210 5.210 5.210 0.000" Properties=species:S:1:pos:R:3 comment="PBE Mn23C6, optimized geometry" volume_a3_per_atom=9.751 sg="No. 225" dft_energy_ev_per_atom=-9.2699 formation_energy_kj_per_mol_atoms=-9.1 pbc="T T T"
Mn 3.469 1.740 5.210
Mn 6.438 6.438 3.981
Mn 0.000 3.469 3.469
Mn 3.981 6.438 6.438
Mn 0.000 0.000 0.000
Mn 6.438 3.981 3.981
Mn 1.740 5.210 3.469
Mn 3.981 3.981 6.438
Mn 1.740 1.740 0.000
Mn 0.000 1.740 1.740
Mn 3.469 5.210 1.740
Mn 3.981 6.438 3.981
Mn 3.981 3.981 3.981
Mn 5.210 1.740 3.469
Mn 7.814 7.814 7.814
Mn 5.210 3.469 1.740
Mn 3.469 3.469 0.000
Mn 3.469 0.000 3.469
Mn 6.438 3.981 6.438
Mn 1.740 0.000 1.740
Mn 1.740 3.469 5.210
Mn 2.605 2.605 2.605
Mn 6.438 6.438 6.438
C 7.549 5.210 5.210
C 5.210 7.549 5.210
C 5.210 5.210 2.870
C 5.210 2.870 5.210
C 5.210 5.210 7.549
C 2.870 5.210 5.210

No. 14
28
Lattice="5.094 4.039 0.000 -5.094 4.039 0.000 0.000 0.000 7.637" Properties=species:S:1:pos:R:3 comment="PBE Mn4SiMoC, optimized geometry" volume_a3_per_atom=11.223 sg="No. 36" dft_energy_ev_per_atom=-9.1008 formation_energy_kj_per_mol_atoms=-21.5 pbc="T T T"
Mn 0.000 3.624 5.028
Mn -1.248 6.661 1.252
Mn 3.820 4.064 3.184
Mn 1.248 1.418 5.070
Mn -1.506 2.727 2.688
Mn 3.820 4.015 7.003
Mn -3.820 4.064 3.184
Mn 0.000 0.975 1.303
Mn 0.000 4.454 1.209
Mn 1.506 2.727 2.688
Mn 0.000 7.103 5.121
Mn -1.506 5.351 6.506
Mn 1.248 6.661 1.252
Mn -3.820 4.015 7.003
Mn -1.248 1.418 5.070
Mn 1.506 5.351 6.506
C 0.000 6.620 2.840
C 0.000 1.459 6.658
C 0.000 6.492 7.290
C 0.000 1.586 3.472
Mo -1.501 5.347 3.661
Mo 1.501 2.731 7.480
Mo -1.501 2.731 7.480
Mo 1.501 5.347 3.661
Si 2.522 4.708 1.286
Si 2.522 3.370 5.104
Si -2.522 4.708 1.286
Si -2.522 3.370 5.104

No. 15
15
Lattice="0.004 -0.006 5.692 -0.003 7.230 -0.012 -6.260 3.617 -0.012" Properties=species:S:1:pos:R:3 comment="PBE MnC8N6, optimized geometry" corrected_energy_ev_per_atom=-8.631 volume_a3_per_atom=17.169 sg="No. 12" dft_energy_ev_per_atom=-8.4862 formation_energy_kj_per_mol_atoms=22.8 pbc="T T T"
C -4.871 6.024 1.130
C -2.084 3.610 4.169
C -4.873 8.440 1.124
C -1.388 4.817 4.310
C -4.175 7.231 1.272
C -1.386 2.401 4.317
C -3.478 3.610 4.310
C -2.781 7.230 1.130
N -4.630 3.610 4.530
N -0.810 1.404 4.540
N -5.448 5.026 0.911
N -5.448 9.437 0.900
N -0.811 5.815 4.530
N -1.628 7.231 0.911
Mn -6.259 10.841 5.554

No. 16
4
Lattice="4.890 -1.683 0.000 4.890 1.683 0.000 4.310 0.000 2.857" Properties=species:S:1:pos:R:3 comment="PBE MnCN2, optimized geometry" corrected_energy_ev_per_atom=-8.935 volume_a3_per_atom=11.760 sg="No. 166" dft_energy_ev_per_atom=-8.7540 formation_energy_kj_per_mol_atoms=-16.3 pbc="T T T"
N 8.259 0.000 1.675
N 5.831 0.000 1.183
Mn 0.000 0.000 0.000
C 7.045 0.000 1.429